[1]
## KRb2MoF6 (PBE+U)

Data for a geometry-optimized KRb2MoF6 structure.

Structure (extended XYZ):
```
10
Lattice="-3.196 -4.919 2.934 -5.326 1.247 3.620 -5.926 -1.807 -2.154" Properties=species:S:1:pos:R:3 pbc="T T T"
F -8.263 -4.922 1.423
F -5.019 -3.932 2.602
F -7.934 -3.250 4.583
F -6.513 -2.229 -0.183
F -9.428 -1.547 1.798
F -6.185 -0.558 2.977
Mo 0.000 0.000 0.000
K -7.224 -2.740 2.200
Rb -10.836 -4.110 3.300
Rb -3.612 -1.370 1.100
```

Computed properties:
As for the formation energy: -2.963 eV per atom. The size of the total moment is 0.300 μB per atom. As for the space group: No. 225. The total energy comes out at -4.906 eV per atom.

***

[2]
## Li2MnF4 (PBE+U)

Data for a geometry-optimized Li2MnF4 structure.

Structure (extended XYZ):
```
56
Lattice="-4.242 -0.180 2.852 -4.297 -6.349 -6.792 4.660 -9.901 6.307" Properties=species:S:1:pos:R:3 pbc="T T T"
Li -1.445 -10.430 6.080
Li 3.208 -6.816 4.342
Li 0.466 -5.587 4.928
Li -6.549 -6.847 -1.061
Li 1.527 -3.244 2.066
Li -0.204 -3.478 -0.460
Li -0.007 -8.535 4.101
Li -3.392 -5.130 -0.781
Li -0.413 -11.459 3.250
Li -1.891 -3.721 -3.048
Li 4.511 -9.585 6.106
Li -1.252 -4.796 2.137
Li 0.786 -12.842 0.646
Li -4.067 -8.576 -1.717
Li -2.088 -7.899 0.983
Li -2.086 -11.690 0.685
F -1.102 -6.126 0.739
F -0.494 -3.104 1.472
F -2.407 -6.194 -2.027
F -0.212 -11.225 1.161
F -0.635 -12.180 5.687
F -5.266 -5.227 -1.481
F -4.633 -10.384 -1.185
F -2.514 -4.740 3.523
F -1.702 -12.838 2.857
F 0.121 -9.667 6.923
F -3.389 -2.180 1.769
F -3.447 -13.079 0.579
F -2.862 -7.619 2.661
F -4.160 -6.453 -4.368
F -0.972 -7.011 5.191
F -1.069 -8.702 -0.363
F -2.201 -15.723 2.097
F -1.864 -11.637 -1.411
F -3.921 -7.873 0.080
F -0.485 -14.233 0.204
F -2.669 -8.918 -2.921
F 2.930 -10.498 6.508
F 1.178 -10.721 4.052
F 1.064 -13.403 2.511
F -3.146 -10.302 1.485
F 0.256 -8.231 2.222
F -1.464 -9.886 4.188
F -5.842 -8.106 -2.429
F -2.229 -3.520 -1.045
F 0.402 -5.299 3.077
F -3.952 -4.968 1.039
F 1.748 -7.984 4.740
Mn 0.824 -9.490 0.627
Mn -5.197 -10.056 0.728
Mn 1.819 -8.462 6.759
Mn -5.196 -4.706 -3.520
Mn 1.328 -6.395 1.653
Mn -0.538 -6.596 -1.216
Mn -1.479 -1.455 2.295
Mn -3.333 -1.845 -0.405
```

Computed properties:
As for the formation energy: -3.029 eV per atom. The size of the total moment is 0.714 μB per atom. As for the space group: No. 34. The total energy comes out at -5.475 eV per atom.